# SrHgO3

A relaxed structure of SrHgO3 (PBE, Materials Project).

Structure (extended XYZ):
```
5
Lattice="4.236 0.000 0.000 0.000 4.236 0.000 0.000 0.000 4.236" Properties=species:S:1:pos:R:3 pbc="T T T"
O 2.118 0.000 2.118
O 0.000 2.118 2.118
O 2.118 2.118 0.000
Sr 0.000 0.000 0.000
Hg 2.118 2.118 2.118
```

Results
Total DFT energy (no corrections) ... -4.32 eV/atom

# HgTe2O6

A relaxed structure of HgTe2O6 (PBE, Materials Project).

Structure (extended XYZ):
```
36
Lattice="12.805 0.000 0.000 0.000 6.573 0.000 0.000 4.275 7.543" Properties=species:S:1:pos:R:3 pbc="T T T"
O 1.920 7.232 3.166
O 1.897 9.093 5.075
O 10.885 3.616 4.378
O 7.618 7.819 6.475
O 1.631 4.223 7.443
O 11.174 6.625 0.100
O 8.300 3.893 6.240
O 12.599 7.382 5.645
O 2.984 6.663 6.109
O 8.322 1.478 0.606
O 6.196 5.604 5.670
O 6.609 5.244 1.873
O 11.590 5.681 2.703
O 10.908 1.755 2.468
O 0.206 3.466 1.898
O 1.215 5.167 4.840
O 9.821 4.185 1.435
O 9.386 6.323 5.206
O 4.771 2.086 3.671
O 5.187 3.029 1.068
O 4.505 6.955 1.303
O 3.419 4.526 2.337
O 4.483 9.370 6.937
O 8.034 8.763 3.872
Hg 11.621 5.361 5.686
Hg 7.587 3.223 1.914
Hg 1.184 5.487 1.858
Hg 5.218 7.625 5.629
Te 4.863 5.044 1.239
Te 3.765 2.031 2.120
Te 11.266 3.666 2.532
Te 2.638 4.169 5.891
Te 7.942 5.804 6.304
Te 1.539 7.182 5.011
Te 10.167 6.680 1.652
Te 9.040 8.817 5.424
```

Results
Total DFT energy (no corrections) ... -4.77 eV/atom

# HgTeO3

A relaxed structure of HgTeO3 (PBE, Materials Project).

Structure (extended XYZ):
```
20
Lattice="6.314 0.000 0.000 -0.290 7.617 0.000 -3.088 -0.679 7.003" Properties=species:S:1:pos:R:3 pbc="T T T"
O 0.457 3.106 2.451
O -0.231 0.016 3.397
O 3.069 2.106 1.932
O -1.427 -0.518 6.047
O 0.587 6.121 1.381
O 4.363 7.456 0.956
O 4.494 4.127 0.127
O 2.479 3.832 4.552
O 3.166 6.922 3.606
O 2.349 0.817 5.622
O -0.133 4.832 5.071
O -1.559 2.811 6.876
Te -1.209 6.272 2.252
Te 2.071 3.766 1.673
Te 0.865 3.172 5.331
Te 4.144 0.666 4.751
Hg -2.483 4.903 5.943
Hg 5.419 2.035 1.061
Hg 0.914 6.646 5.367
Hg 2.022 0.292 1.636
```

Results
Total DFT energy (no corrections) ... -4.42 eV/atom

# TiHgO3

A relaxed structure of TiHgO3 (PBE, Materials Project).

Structure (extended XYZ):
```
10
Lattice="1.524 2.723 -4.464 1.524 -2.723 -4.464 -3.344 0.000 -4.464" Properties=species:S:1:pos:R:3 pbc="T T T"
Hg -0.074 0.000 -3.348
Hg -0.222 0.000 -10.044
Ti -0.148 0.000 -6.696
Ti 0.000 0.000 0.000
O -1.746 -0.447 -5.580
O 0.813 -1.585 -5.946
O 0.563 1.138 -5.214
O -0.859 -1.138 -8.178
O 1.449 0.447 -7.812
O -1.109 1.585 -7.446
```

Results
Total DFT energy (no corrections) ... -6.45 eV/atom

# TiHgO3

A relaxed structure of TiHgO3 (PBE, Materials Project).

Structure (extended XYZ):
```
5
Lattice="3.921 0.000 0.000 0.000 3.921 0.000 0.000 0.000 3.921" Properties=species:S:1:pos:R:3 pbc="T T T"
O 0.000 1.961 1.961
O 1.961 1.961 0.000
O 1.961 0.000 1.961
Hg 0.000 0.000 0.000
Ti 1.961 1.961 1.961
```

Results
Total DFT energy (no corrections) ... -6.32 eV/atom

# TiHg3O3

A relaxed structure of TiHg3O3 (PBE, Materials Project).

Structure (extended XYZ):
```
7
Lattice="7.241 -2.139 -2.286 5.521 8.274 -3.868 7.136 -0.368 3.716" Properties=species:S:1:pos:R:3 pbc="T T T"
Ti 7.841 -0.636 3.288
O 8.667 -1.194 1.950
O 10.580 3.391 -3.802
O 6.458 1.995 -1.939
Hg 4.545 6.354 -3.032
Hg 9.017 -1.910 -0.259
Hg 7.118 0.135 -2.674
```

Results
Total DFT energy (no corrections) ... -3.21 eV/atom

# TlHgO3

A relaxed structure of TlHgO3 (PBE, Materials Project).

Structure (extended XYZ):
```
5
Lattice="4.261 0.000 0.000 0.000 4.261 0.000 0.000 0.000 4.261" Properties=species:S:1:pos:R:3 pbc="T T T"
O 2.131 2.131 0.000
O 2.131 0.000 2.131
O 0.000 2.131 2.131
Tl 2.131 2.131 2.131
Hg 0.000 0.000 0.000
```

Results
Total DFT energy (no corrections) ... -3.29 eV/atom

# HgOs

A relaxed structure of HgOs (PBE, Materials Project).

Structure (extended XYZ):
```
2
Lattice="1.446 -2.505 0.000 1.446 2.505 0.000 0.000 0.000 4.780" Properties=species:S:1:pos:R:3 pbc="T T T"
Os 0.000 0.000 0.000
Hg 1.446 0.835 2.390
```

Results
Total DFT energy (no corrections) ... -4.77 eV/atom

# Tm2HgOs

A relaxed structure of Tm2HgOs (PBE, Materials Project).

Structure (extended XYZ):
```
4
Lattice="-1.052 0.766 4.779 -4.201 -1.781 1.927 0.150 -3.774 3.205" Properties=species:S:1:pos:R:3 pbc="T T T"
Tm -1.276 -1.197 2.478
Tm -3.828 -3.591 7.433
Os 0.000 0.000 0.000
Hg -2.552 -2.394 4.956
```

Results
Total DFT energy (no corrections) ... -5.43 eV/atom

# Hg3P

A relaxed structure of Hg3P (PBE, Materials Project).

Structure (extended XYZ):
```
8
Lattice="2.991 -5.180 0.000 2.991 5.180 0.000 0.000 0.000 6.054" Properties=species:S:1:pos:R:3 pbc="T T T"
P 2.991 1.727 4.540
P 2.991 -1.727 1.513
Hg 2.991 -3.435 4.540
Hg 1.512 -0.873 4.540
Hg 1.512 0.873 1.513
Hg 4.470 -0.873 4.540
Hg 2.991 3.435 1.513
Hg 4.470 0.873 1.513
```

Results
Total DFT energy (no corrections) ... -1.14 eV/atom

# Hg3P

A relaxed structure of Hg3P (PBE, Materials Project).

Structure (extended XYZ):
```
4
Lattice="0.000 3.586 3.586 3.586 0.000 3.586 3.586 3.586 0.000" Properties=species:S:1:pos:R:3 pbc="T T T"
Hg 1.793 1.793 1.793
Hg 3.586 3.586 3.586
Hg 5.379 5.379 5.379
P 0.000 0.000 0.000
```

Results
Total DFT energy (no corrections) ... -1.13 eV/atom

# HgPPd5

A relaxed structure of HgPPd5 (PBE, Materials Project).

Structure (extended XYZ):
```
7
Lattice="3.994 0.000 0.000 0.000 3.994 0.000 0.000 0.000 7.082" Properties=species:S:1:pos:R:3 pbc="T T T"
Pd 0.000 1.997 2.151
Pd 1.997 0.000 2.151
Pd 0.000 0.000 0.000
Pd 1.997 0.000 4.931
Pd 0.000 1.997 4.931
Hg 1.997 1.997 0.000
P 0.000 0.000 3.541
```

Results
Total DFT energy (no corrections) ... -4.89 eV/atom

# Rb2HgPSe5

A relaxed structure of Rb2HgPSe5 (PBE, Materials Project).

Structure (extended XYZ):
```
72
Lattice="18.065 0.000 0.000 0.000 18.065 0.000 0.000 0.000 7.377" Properties=species:S:1:pos:R:3 pbc="T T T"
Hg 16.941 15.714 3.879
Hg 6.681 10.156 0.190
Hg 1.124 2.351 3.879
Hg 10.156 11.384 7.186
Hg 2.351 16.941 3.498
Hg 11.384 7.909 0.190
Hg 7.909 6.681 7.186
Hg 15.714 1.124 3.498
Se 10.248 9.222 5.459
Se 17.382 4.586 1.607
Se 3.535 3.548 3.727
Se 8.843 10.248 1.918
Se 2.317 11.132 3.895
Se 11.349 2.100 7.171
Se 17.709 4.225 5.249
Se 9.388 4.807 5.817
Se 4.447 8.349 5.295
Se 4.225 0.356 2.128
Se 9.716 4.447 2.082
Se 0.683 13.479 1.607
Se 0.189 16.850 1.771
Se 12.568 12.580 7.338
Se 16.850 17.876 5.606
Se 14.530 14.517 3.727
Se 15.748 6.933 3.895
Se 6.716 15.965 7.171
Se 13.479 17.382 5.770
Se 14.517 3.535 3.650
Se 17.876 1.215 1.771
Se 5.497 5.485 7.338
Se 13.618 9.716 5.295
Se 13.840 17.709 2.128
Se 0.356 13.840 5.249
Se 12.580 5.497 0.039
Se 2.100 6.716 0.206
Se 1.215 0.189 5.606
Se 4.586 0.683 5.770
Se 11.132 15.748 3.482
Se 8.349 13.618 2.082
Se 4.807 8.677 1.560
Se 9.222 7.817 1.918
Se 3.548 14.530 3.650
Se 7.817 8.843 5.459
Se 6.933 2.317 3.482
Se 8.677 13.258 5.817
Se 15.965 11.349 0.206
Se 13.258 9.388 1.560
Se 5.485 12.568 0.039
Rb 11.224 1.596 3.580
Rb 12.167 6.371 3.849
Rb 14.931 2.661 7.216
Rb 3.134 15.403 7.216
Rb 7.437 2.192 7.269
Rb 11.694 12.167 3.527
Rb 6.371 5.898 3.527
Rb 15.873 7.437 0.108
Rb 16.469 11.224 3.797
Rb 6.841 16.469 3.580
Rb 15.403 14.931 0.161
Rb 2.192 10.628 0.108
Rb 2.661 3.134 0.161
Rb 5.898 11.694 3.849
Rb 10.628 15.873 7.269
Rb 1.596 6.841 3.797
P 7.336 13.878 0.138
P 4.187 7.336 7.239
P 10.729 4.187 0.138
P 16.368 4.845 3.550
P 1.697 13.220 3.550
P 4.845 1.697 3.827
P 13.878 10.729 7.239
P 13.220 16.368 3.827
```

Results
Total DFT energy (no corrections) ... -3.39 eV/atom

# HgPRh

A relaxed structure of HgPRh (PBE, Materials Project).

Structure (extended XYZ):
```
3
Lattice="0.000 3.122 3.122 3.122 0.000 3.122 3.122 3.122 0.000" Properties=species:S:1:pos:R:3 pbc="T T T"
Hg 4.683 4.683 4.683
P 0.000 0.000 0.000
Rh 3.122 3.122 3.122
```

Results
Total DFT energy (no corrections) ... -3.56 eV/atom

# SiHgP2

A relaxed structure of SiHgP2 (PBE, Materials Project).

Structure (extended XYZ):
```
8
Lattice="-2.852 2.852 5.341 2.852 -2.852 5.341 2.852 2.852 -5.341" Properties=species:S:1:pos:R:3 pbc="T T T"
P 1.426 1.168 4.006
P -1.168 1.426 6.677
P 4.021 1.426 1.335
P 1.426 1.684 -1.335
Si 0.000 0.000 5.341
Si 2.852 0.000 2.671
Hg 0.000 2.852 2.671
Hg 0.000 0.000 0.000
```

Results
Total DFT energy (no corrections) ... -4.19 eV/atom

# SiHgP2

A relaxed structure of SiHgP2 (PBE, Materials Project).

Structure (extended XYZ):
```
4
Lattice="-2.827 -0.140 3.686 -2.230 3.842 1.366 -4.598 0.350 -0.583" Properties=species:S:1:pos:R:3 pbc="T T T"
Si -4.827 2.026 2.235
P -2.414 1.013 1.117
P -7.241 3.039 3.352
Hg 0.000 0.000 0.000
```

Results
Total DFT energy (no corrections) ... -3.38 eV/atom

# Pa3Hg

A relaxed structure of Pa3Hg (PBE, Materials Project).

Structure (extended XYZ):
```
4
Lattice="4.629 0.000 0.000 0.000 4.629 0.000 0.000 0.000 4.629" Properties=species:S:1:pos:R:3 pbc="T T T"
Pa 2.314 0.000 2.314
Pa 2.314 2.314 0.000
Pa 0.000 2.314 2.314
Hg 0.000 0.000 0.000
```

Results
Total DFT energy (no corrections) ... -7.06 eV/atom

# PaHgTe2

A relaxed structure of PaHgTe2 (PBE, Materials Project).

Structure (extended XYZ):
```
4
Lattice="0.000 3.825 3.825 3.825 0.000 3.825 3.825 3.825 0.000" Properties=species:S:1:pos:R:3 pbc="T T T"
Pa 0.000 0.000 0.000
Te 1.912 1.912 1.912
Te 5.737 5.737 5.737
Hg 3.825 3.825 3.825
```

Results
Total DFT energy (no corrections) ... -4.42 eV/atom

# HgPb4

A relaxed structure of HgPb4 (PBE, Materials Project).

Structure (extended XYZ):
```
5
Lattice="-14.287 -2.977 0.829 -13.149 -5.917 2.398 -13.649 -2.991 4.292" Properties=species:S:1:pos:R:3 pbc="T T T"
Pb -16.296 -4.714 2.982
Pb -8.261 -2.390 1.512
Pb -32.823 -9.495 6.007
Pb -24.788 -7.170 4.537
Hg 0.000 0.000 0.000
```

Results
Total DFT energy (no corrections) ... -3.00 eV/atom

# Hg3Pb

A relaxed structure of Hg3Pb (PBE, Materials Project).

Structure (extended XYZ):
```
8
Lattice="3.456 -5.986 0.000 3.456 5.986 0.000 0.000 0.000 5.310" Properties=species:S:1:pos:R:3 pbc="T T T"
Pb 3.456 1.995 3.983
Pb 3.456 -1.995 1.328
Hg 3.456 4.038 1.328
Hg 1.687 -0.974 3.983
Hg 5.225 -0.974 3.983
Hg 5.225 0.974 1.328
Hg 3.456 -4.038 3.983
Hg 1.687 0.974 1.328
```

Results
Total DFT energy (no corrections) ... -1.10 eV/atom

# HgPb2

A relaxed structure of HgPb2 (PBE, Materials Project).

Structure (extended XYZ):
```
3
Lattice="-2.449 -2.187 1.237 -2.357 -1.282 -2.260 4.253 -7.226 -1.759" Properties=species:S:1:pos:R:3 pbc="T T T"
Hg 0.000 0.000 0.000
Pb -0.200 -3.563 -0.927
Pb -0.353 -7.133 -1.855
```

Results
Total DFT energy (no corrections) ... -2.54 eV/atom

# HgPb3

A relaxed structure of HgPb3 (PBE, Materials Project).

Structure (extended XYZ):
```
4
Lattice="-0.158 2.792 2.937 -3.625 1.217 -1.352 -3.291 -4.863 4.446" Properties=species:S:1:pos:R:3 pbc="T T T"
Pb -2.681 0.838 1.859
Pb -4.393 -1.692 4.172
Pb -1.646 -2.432 2.223
Hg 0.000 0.000 0.000
```

Results
Total DFT energy (no corrections) ... -2.83 eV/atom